{
  "formula": "K5NaV2Mo6O30",
  "functional": "PBE+U",
  "state": "optimized geometry",
  "cell": [[7.110, -6.412, 0.000], [7.110, 6.412, 0.000], [-5.248, 0.000, 7.589]],
  "species": ["K", "K", "K", "K", "K", "Na", "V", "V", "Mo", "Mo", "Mo", "Mo", "Mo", "Mo", "O", "O", "O", "O", "O", "O", "O", "O", "O", "O", "O", "O", "O", "O", "O", "O", "O", "O", "O", "O", "O", "O", "O", "O", "O", "O", "O", "O", "O", "O"],
  "fractional_positions": [[0.000, 0.000, 0.000], [0.106, 0.497, 0.259], [0.497, 0.106, 0.259], [0.503, 0.894, 0.741], [0.894, 0.503, 0.741], [0.500, 0.500, 0.500], [0.380, 0.380, 0.012], [0.620, 0.620, 0.988], [0.224, 0.224, 0.548], [0.261, 0.608, 0.777], [0.392, 0.739, 0.223], [0.608, 0.261, 0.777], [0.739, 0.392, 0.223], [0.776, 0.776, 0.452], [0.030, 0.265, 0.865], [0.077, 0.077, 0.415], [0.115, 0.728, 0.804], [0.129, 0.415, 0.630], [0.242, 0.242, 0.807], [0.263, 0.557, 0.008], [0.265, 0.030, 0.865], [0.268, 0.268, 0.403], [0.272, 0.885, 0.196], [0.303, 0.630, 0.620], [0.356, 0.356, 0.167], [0.370, 0.697, 0.380], [0.415, 0.129, 0.630], [0.441, 0.441, 0.821], [0.443, 0.737, 0.992], [0.557, 0.263, 0.008], [0.559, 0.559, 0.179], [0.585, 0.871, 0.370], [0.630, 0.303, 0.620], [0.644, 0.644, 0.833], [0.697, 0.370, 0.380], [0.728, 0.115, 0.804], [0.732, 0.732, 0.597], [0.735, 0.970, 0.135], [0.737, 0.443, 0.992], [0.758, 0.758, 0.193], [0.871, 0.585, 0.370], [0.885, 0.272, 0.196], [0.923, 0.923, 0.585], [0.970, 0.735, 0.135]],
  "mass_density_g_cm3": 3.3,
  "delta_e_f_ev_per_atom": -1.78,
  "e_tot_ha_per_atom": -0.2284
}